Version 1
LiVFeP4O14 after structural relaxation, computed with GGA+U.

Lattice parameters (Å, degrees): 7.269 8.170 9.626 89.70 69.18 90.69
Positions (direct):
O (0.027, 0.667, 0.594)
P (0.047, 0.691, 0.430)
P (0.833, 0.287, 0.066)
O (0.679, 0.560, 0.830)
P (0.661, 0.782, 0.429)
O (0.108, 0.865, 0.379)
O (0.179, 0.560, 0.330)
O (0.527, 0.667, 0.094)
O (0.523, 0.679, 0.373)
O (0.334, 0.651, 0.922)
V (0.473, 0.513, 0.251)
P (0.956, 0.188, 0.554)
O (0.056, 0.824, 0.091)
Li (0.084, 0.372, 0.239)
O (0.319, 0.052, 0.138)
P (0.456, 0.188, 0.054)
O (0.498, 0.195, 0.887)
O (0.754, 0.929, 0.330)
O (0.421, 0.347, 0.403)
O (0.885, 0.357, 0.626)
O (0.608, 0.865, 0.879)
P (0.161, 0.782, 0.929)
O (0.744, 0.432, 0.170)
O (0.984, 0.202, 0.115)
O (0.998, 0.195, 0.387)
V (0.973, 0.513, 0.751)
O (0.834, 0.651, 0.422)
O (0.385, 0.357, 0.126)
O (0.164, 0.155, 0.578)
O (0.023, 0.679, 0.873)
O (0.254, 0.929, 0.830)
O (0.819, 0.052, 0.638)
O (0.664, 0.155, 0.078)
Li (0.584, 0.372, 0.739)
P (0.333, 0.287, 0.566)
O (0.244, 0.432, 0.670)
O (0.556, 0.824, 0.591)
O (0.484, 0.202, 0.615)
Fe (0.533, 0.003, 0.735)
Fe (0.033, 0.003, 0.235)
P (0.547, 0.691, 0.930)
O (0.921, 0.347, 0.903)

---

Version 2
LiVFeP4O14 after structural relaxation, computed with GGA+U.

Lattice parameters (Å, degrees): 4.951 7.047 8.041 89.93 88.82 73.82
Positions (direct):
Li (0.000, 0.000, 0.000)
V (0.937, 0.345, 0.353)
Fe (0.526, 0.788, 0.839)
P (0.107, 0.568, 0.035)
P (0.331, 0.574, 0.533)
P (0.497, 0.182, 0.117)
P (0.971, 0.961, 0.612)
O (0.115, 0.454, 0.528)
O (0.142, 0.983, 0.764)
O (0.167, 0.799, 0.486)
O (0.262, 0.728, 0.029)
O (0.308, 0.173, 0.266)
O (0.331, 0.357, 0.995)
O (0.445, 0.577, 0.706)
O (0.558, 0.510, 0.396)
O (0.577, 0.998, 0.006)
O (0.708, 0.901, 0.657)
O (0.781, 0.220, 0.161)
O (0.876, 0.596, 0.910)
O (0.897, 0.147, 0.502)
O (0.993, 0.549, 0.213)

Computed properties:
Space-group type = P1

---

Tell me which of them is the most stable. Sure, it is version 1.

---

Version 1
LiVFeP4O14 after structural relaxation, computed with GGA+U.

Lattice parameters (Å, degrees): 4.902 6.948 8.174 90.01 90.75 105.94
Positions (direct):
Li (0.000, 0.000, 0.000)
V (0.459, 0.530, 0.909)
Fe (0.884, 0.990, 0.413)
P (0.052, 0.762, 0.721)
P (0.287, 0.756, 0.224)
P (0.440, 0.153, 0.644)
P (0.920, 0.365, 0.143)
O (0.089, 0.893, 0.216)
O (0.100, 0.531, 0.266)
O (0.115, 0.329, 0.004)
O (0.230, 0.613, 0.750)
O (0.250, 0.168, 0.499)
O (0.250, 0.984, 0.772)
O (0.406, 0.745, 0.051)
O (0.513, 0.803, 0.355)
O (0.524, 0.342, 0.751)
O (0.678, 0.444, 0.073)
O (0.700, 0.087, 0.603)
O (0.806, 0.176, 0.239)
O (0.817, 0.739, 0.849)
O (0.958, 0.762, 0.545)

Computed properties:
Space-group type = P1

---

Version 2
LiVFeP4O14 after structural relaxation, computed with GGA+U.

Lattice parameters (Å, degrees): 7.161 8.091 13.705 89.82 82.76 89.94
Positions (direct):
Li (0.000, 0.000, 0.000)
Li (0.014, 0.497, 0.332)
Li (0.334, 0.000, 0.666)
V (0.292, 0.630, 0.662)
V (0.617, 0.643, 0.329)
V (0.956, 0.631, 0.994)
Fe (0.060, 0.130, 0.338)
Fe (0.405, 0.144, 0.005)
Fe (0.735, 0.146, 0.670)
P (0.023, 0.317, 0.126)
P (0.044, 0.915, 0.543)
P (0.306, 0.420, 0.455)
P (0.320, 0.815, 0.874)
P (0.358, 0.315, 0.794)
P (0.379, 0.918, 0.209)
P (0.636, 0.422, 0.124)
P (0.653, 0.814, 0.541)
P (0.694, 0.313, 0.459)
P (0.710, 0.916, 0.875)
P (0.970, 0.420, 0.788)
P (0.990, 0.818, 0.206)
O (0.042, 0.572, 0.727)
O (0.049, 0.320, 0.235)
O (0.073, 0.488, 0.080)
O (0.099, 0.954, 0.435)
O (0.122, 0.176, 0.066)
O (0.137, 0.285, 0.783)
O (0.140, 0.336, 0.417)
O (0.202, 0.821, 0.586)
O (0.207, 0.782, 0.218)
O (0.212, 0.673, 0.930)
O (0.258, 0.468, 0.565)
O (0.262, 0.984, 0.918)
O (0.305, 0.811, 0.763)
O (0.315, 0.066, 0.273)
O (0.369, 0.574, 0.393)
O (0.382, 0.313, 0.901)
O (0.406, 0.487, 0.748)
O (0.430, 0.961, 0.101)
O (0.456, 0.176, 0.731)
O (0.472, 0.286, 0.448)
O (0.474, 0.329, 0.089)
O (0.537, 0.817, 0.247)
O (0.538, 0.784, 0.886)
O (0.545, 0.673, 0.598)
O (0.592, 0.475, 0.232)
O (0.594, 0.983, 0.584)
O (0.637, 0.801, 0.430)
O (0.655, 0.068, 0.940)
O (0.709, 0.572, 0.061)
O (0.713, 0.315, 0.568)
O (0.746, 0.484, 0.410)
O (0.762, 0.959, 0.767)
O (0.799, 0.176, 0.400)
O (0.803, 0.286, 0.117)
O (0.807, 0.328, 0.754)
O (0.870, 0.822, 0.918)
O (0.871, 0.784, 0.553)
O (0.887, 0.675, 0.266)
O (0.923, 0.471, 0.897)
O (0.936, 0.987, 0.247)
O (0.971, 0.809, 0.095)
O (0.988, 0.068, 0.606)

Computed properties:
Space-group type = P1

---

Tell me which of them is the most stable. Sure, it is version 2.

---

Version 1
Li2Fe2S3O12 after structural relaxation, computed with GGA+U.

Lattice parameters (Å, degrees): 8.751 8.820 24.362 90.00 90.00 90.00
Positions (direct):
Li (0.037, 0.122, 0.209)
Li (0.037, 0.378, 0.709)
Li (0.143, 0.069, 0.991)
Li (0.143, 0.431, 0.491)
Li (0.357, 0.569, 0.991)
Li (0.357, 0.931, 0.491)
Li (0.463, 0.622, 0.209)
Li (0.463, 0.878, 0.709)
Li (0.537, 0.122, 0.291)
Li (0.537, 0.378, 0.791)
Li (0.643, 0.069, 0.509)
Li (0.643, 0.431, 0.009)
Li (0.857, 0.569, 0.509)
Li (0.857, 0.931, 0.009)
Li (0.963, 0.622, 0.291)
Li (0.963, 0.878, 0.791)
Fe (0.001, 0.206, 0.822)
Fe (0.001, 0.294, 0.322)
Fe (0.003, 0.599, 0.935)
Fe (0.003, 0.901, 0.435)
Fe (0.497, 0.099, 0.935)
Fe (0.497, 0.401, 0.435)
Fe (0.499, 0.706, 0.822)
Fe (0.499, 0.794, 0.322)
Fe (0.501, 0.206, 0.678)
Fe (0.501, 0.294, 0.178)
Fe (0.503, 0.599, 0.565)
Fe (0.503, 0.901, 0.065)
Fe (0.997, 0.099, 0.565)
Fe (0.997, 0.401, 0.065)
Fe (0.999, 0.706, 0.678)
Fe (0.999, 0.794, 0.178)
S (0.144, 0.053, 0.701)
S (0.144, 0.447, 0.201)
S (0.148, 0.747, 0.552)
S (0.148, 0.753, 0.052)
S (0.195, 0.594, 0.384)
S (0.195, 0.906, 0.884)
S (0.305, 0.094, 0.384)
S (0.305, 0.406, 0.884)
S (0.352, 0.247, 0.552)
S (0.352, 0.253, 0.052)
S (0.356, 0.553, 0.701)
S (0.356, 0.947, 0.201)
S (0.644, 0.053, 0.799)
S (0.644, 0.447, 0.299)
S (0.648, 0.747, 0.948)
S (0.648, 0.753, 0.448)
S (0.695, 0.594, 0.116)
S (0.695, 0.906, 0.616)
S (0.805, 0.094, 0.116)
S (0.805, 0.406, 0.616)
S (0.852, 0.247, 0.948)
S (0.852, 0.253, 0.448)
S (0.856, 0.553, 0.799)
S (0.856, 0.947, 0.299)
O (0.064, 0.611, 0.534)
O (0.064, 0.889, 0.034)
O (0.082, 0.594, 0.221)
O (0.082, 0.906, 0.721)
O (0.085, 0.611, 0.025)
O (0.085, 0.889, 0.525)
O (0.089, 0.086, 0.645)
O (0.089, 0.414, 0.145)
O (0.093, 0.178, 0.738)
O (0.093, 0.322, 0.238)
O (0.095, 0.692, 0.417)
O (0.095, 0.808, 0.917)
O (0.099, 0.510, 0.343)
O (0.099, 0.990, 0.843)
O (0.139, 0.733, 0.112)
O (0.139, 0.767, 0.612)
O (0.185, 0.546, 0.702)
O (0.185, 0.954, 0.202)
O (0.188, 0.180, 0.354)
O (0.188, 0.320, 0.854)
O (0.189, 0.236, 0.534)
O (0.189, 0.264, 0.034)
O (0.231, 0.517, 0.922)
O (0.231, 0.983, 0.422)
O (0.269, 0.017, 0.922)
O (0.269, 0.483, 0.422)
O (0.311, 0.736, 0.534)
O (0.311, 0.764, 0.034)
O (0.312, 0.680, 0.354)
O (0.312, 0.820, 0.854)
O (0.315, 0.046, 0.702)
O (0.315, 0.454, 0.202)
O (0.361, 0.233, 0.112)
O (0.361, 0.267, 0.612)
O (0.401, 0.010, 0.343)
O (0.401, 0.490, 0.843)
O (0.405, 0.192, 0.417)
O (0.405, 0.308, 0.917)
O (0.407, 0.678, 0.738)
O (0.407, 0.822, 0.238)
O (0.411, 0.586, 0.645)
O (0.411, 0.914, 0.145)
O (0.415, 0.111, 0.025)
O (0.415, 0.389, 0.525)
O (0.418, 0.094, 0.221)
O (0.418, 0.406, 0.721)
O (0.436, 0.111, 0.534)
O (0.436, 0.389, 0.034)
O (0.564, 0.611, 0.966)
O (0.564, 0.889, 0.466)
O (0.582, 0.594, 0.279)
O (0.582, 0.906, 0.779)
O (0.585, 0.611, 0.475)
O (0.585, 0.889, 0.975)
O (0.589, 0.086, 0.855)
O (0.589, 0.414, 0.355)
O (0.593, 0.178, 0.762)
O (0.593, 0.322, 0.262)
O (0.595, 0.692, 0.083)
O (0.595, 0.808, 0.583)
O (0.599, 0.510, 0.157)
O (0.599, 0.990, 0.657)
O (0.639, 0.733, 0.388)
O (0.639, 0.767, 0.888)
O (0.685, 0.546, 0.798)
O (0.685, 0.954, 0.298)
O (0.688, 0.180, 0.146)
O (0.688, 0.320, 0.646)
O (0.689, 0.236, 0.966)
O (0.689, 0.264, 0.466)
O (0.731, 0.517, 0.578)
O (0.731, 0.983, 0.078)
O (0.769, 0.017, 0.578)
O (0.769, 0.483, 0.078)
O (0.811, 0.736, 0.966)
O (0.811, 0.764, 0.466)
O (0.812, 0.680, 0.146)
O (0.812, 0.820, 0.646)
O (0.815, 0.046, 0.798)
O (0.815, 0.454, 0.298)
O (0.861, 0.233, 0.388)
O (0.861, 0.267, 0.888)
O (0.901, 0.010, 0.157)
O (0.901, 0.490, 0.657)
O (0.905, 0.192, 0.083)
O (0.905, 0.308, 0.583)
O (0.907, 0.678, 0.762)
O (0.907, 0.822, 0.262)
O (0.911, 0.586, 0.855)
O (0.911, 0.914, 0.355)
O (0.915, 0.111, 0.475)
O (0.915, 0.389, 0.975)
O (0.918, 0.094, 0.279)
O (0.918, 0.406, 0.779)
O (0.936, 0.111, 0.966)
O (0.936, 0.389, 0.466)

Computed properties:
Space-group type = Pbca

---

Version 2
Li2Fe2S3O12 after structural relaxation, computed with GGA+U.

Lattice parameters (Å, degrees): 7.968 7.968 8.862 111.90 111.90 66.07
Positions (direct):
Li (0.137, 0.331, 0.056)
Li (0.331, 0.137, 0.556)
Li (0.669, 0.863, 0.444)
Li (0.863, 0.669, 0.944)
Fe (0.127, 0.632, 0.485)
Fe (0.368, 0.873, 0.015)
Fe (0.632, 0.127, 0.985)
Fe (0.873, 0.368, 0.515)
S (0.060, 0.940, 0.250)
S (0.249, 0.459, 0.823)
S (0.459, 0.249, 0.323)
S (0.541, 0.751, 0.677)
S (0.751, 0.541, 0.177)
S (0.940, 0.060, 0.750)
O (0.048, 0.127, 0.384)
O (0.098, 0.788, 0.324)
O (0.126, 0.496, 0.928)
O (0.127, 0.048, 0.884)
O (0.132, 0.456, 0.641)
O (0.212, 0.902, 0.176)
O (0.262, 0.388, 0.312)
O (0.346, 0.602, 0.883)
O (0.388, 0.262, 0.812)
O (0.398, 0.654, 0.617)
O (0.456, 0.132, 0.141)
O (0.496, 0.126, 0.428)
O (0.504, 0.874, 0.572)
O (0.544, 0.868, 0.859)
O (0.602, 0.346, 0.383)
O (0.612, 0.738, 0.188)
O (0.654, 0.398, 0.117)
O (0.738, 0.612, 0.688)
O (0.788, 0.098, 0.824)
O (0.868, 0.544, 0.359)
O (0.873, 0.952, 0.116)
O (0.874, 0.504, 0.072)
O (0.902, 0.212, 0.676)
O (0.952, 0.873, 0.616)

Computed properties:
Space-group type = C2/c

---

Tell me which of them is the most stable. Sure, it is version 2.

---

Version 1
Li4Fe3Sb5O16 after structural relaxation, computed with GGA+U.

Lattice parameters (Å, degrees): 6.302 6.302 10.394 90.27 90.27 59.30
Positions (direct):
Li (0.000, 0.000, 0.000)
Li (0.005, 0.005, 0.512)
Li (0.338, 0.338, 0.612)
Li (0.679, 0.679, 0.102)
Fe (0.168, 0.168, 0.289)
Fe (0.333, 0.827, 0.788)
Fe (0.827, 0.333, 0.788)
Sb (0.168, 0.666, 0.286)
Sb (0.319, 0.319, 0.993)
Sb (0.654, 0.654, 0.525)
Sb (0.666, 0.168, 0.286)
Sb (0.828, 0.828, 0.784)
O (0.031, 0.496, 0.180)
O (0.144, 0.686, 0.894)
O (0.151, 0.151, 0.901)
O (0.295, 0.842, 0.396)
O (0.342, 0.342, 0.395)
O (0.494, 0.494, 0.183)
O (0.496, 0.031, 0.180)
O (0.518, 0.967, 0.670)
O (0.519, 0.519, 0.666)
O (0.675, 0.675, 0.894)
O (0.686, 0.144, 0.894)
O (0.842, 0.295, 0.396)
O (0.852, 0.852, 0.394)
O (0.967, 0.518, 0.670)
O (0.991, 0.991, 0.691)
O (0.995, 0.995, 0.181)

Computed properties:
Space-group type = Cm

---

Version 2
Li4Fe3Sb5O16 after structural relaxation, computed with GGA+U.

Lattice parameters (Å, degrees): 6.234 6.243 10.358 90.29 90.26 118.86
Positions (direct):
Li (0.000, 0.000, 0.000)
Li (0.005, 0.010, 0.511)
Li (0.343, 0.678, 0.613)
Li (0.681, 0.361, 0.106)
Fe (0.172, 0.340, 0.288)
Fe (0.335, 0.164, 0.787)
Fe (0.830, 0.165, 0.786)
Sb (0.172, 0.838, 0.286)
Sb (0.311, 0.640, 0.992)
Sb (0.652, 0.305, 0.522)
Sb (0.668, 0.836, 0.286)
Sb (0.828, 0.659, 0.783)
O (0.035, 0.537, 0.176)
O (0.136, 0.821, 0.895)
O (0.142, 0.304, 0.902)
O (0.300, 0.135, 0.400)
O (0.349, 0.694, 0.395)
O (0.493, 0.991, 0.184)
O (0.507, 0.534, 0.181)
O (0.528, 0.498, 0.669)
O (0.530, 0.039, 0.664)
O (0.687, 0.352, 0.892)
O (0.690, 0.839, 0.891)
O (0.835, 0.135, 0.397)
O (0.861, 0.710, 0.392)
O (0.972, 0.484, 0.673)
O (0.984, 0.983, 0.689)
O (0.994, 0.989, 0.181)

Computed properties:
Space-group type = P1

---

Tell me which of them is the most stable. Sure, it is version 2.